# NaAsW2O9

A geometry-optimized NaAsW2O9 structure (PBE+U, the Materials Project).

## Properties
formation enthalpy at 0 K: -2.07 eV/atom
electronic total energy: -6.789 eV per atom
mass density: 5396 kg/m³

a b c (Å): 5.0008 8.8998 16.8600
angles (deg): 90.00 90.00 90.00
Positions (direct):
Na: 0.1965 0.0154 0.3910
Na: 0.3035 0.9846 0.8910
Na: 0.6965 0.4846 0.6090
Na: 0.8035 0.5154 0.1090
As: 0.1356 0.2293 0.2293
As: 0.3644 0.7707 0.7293
As: 0.6356 0.2707 0.7707
As: 0.8644 0.7293 0.2707
W: 0.1150 0.1070 0.6556
W: 0.1372 0.6188 0.4560
W: 0.3628 0.3812 0.9560
W: 0.3850 0.8930 0.1556
W: 0.6150 0.3930 0.3444
W: 0.6372 0.8812 0.5440
W: 0.8628 0.1188 0.0440
W: 0.8850 0.6070 0.8444
O: 0.0133 0.2711 0.1379
O: 0.0348 0.7521 0.8994
O: 0.0949 0.6517 0.7441
O: 0.0954 0.7548 0.1956
O: 0.1335 0.4496 0.8694
O: 0.1369 0.9764 0.0815
O: 0.1445 0.2049 0.9758
O: 0.2178 0.4966 0.0283
O: 0.2211 0.0454 0.2439
O: 0.2789 0.9546 0.7439
O: 0.2822 0.5034 0.5283
O: 0.3555 0.7951 0.4758
O: 0.3631 0.0236 0.5815
O: 0.3665 0.5504 0.3694
O: 0.4046 0.2452 0.6956
O: 0.4051 0.3483 0.2441
O: 0.4652 0.2479 0.3994
O: 0.4867 0.7289 0.6379
O: 0.5133 0.2289 0.8621
O: 0.5348 0.7479 0.1006
O: 0.5954 0.7452 0.8044
O: 0.5949 0.8483 0.2559
O: 0.6335 0.0504 0.1306
O: 0.6369 0.5236 0.9185
O: 0.6445 0.2951 0.0242
O: 0.7178 0.0034 0.9717
O: 0.7211 0.4546 0.7561
O: 0.7789 0.5454 0.2561
O: 0.7822 0.9966 0.4717
O: 0.8555 0.7049 0.5242
O: 0.8631 0.4764 0.4185
O: 0.8665 0.9496 0.6306
O: 0.9051 0.1517 0.7559
O: 0.9046 0.2548 0.3044
O: 0.9652 0.2521 0.6006
O: 0.9867 0.7711 0.3621

***

# Ni3As2O8

A geometry-optimized Ni3As2O8 structure (PBE+U, the Materials Project).

## Properties
formation enthalpy at 0 K: -1.53 eV/atom
offset from the most stable computed form: 0 meV per atom
electronic total energy: -5.620 eV per atom
mass density: 5158 kg/m³

a b c (Å): 5.8395 9.6953 10.3391
angles (deg): 90.00 92.96 90.00
Positions (direct):
Ni: 0.1150 0.1354 0.4654
Ni: 0.1150 0.3646 0.9654
Ni: 0.3580 0.1366 0.2158
Ni: 0.3580 0.3634 0.7158
Ni: 0.3630 0.6234 0.5582
Ni: 0.3630 0.8766 0.0582
Ni: 0.6370 0.1234 0.9418
Ni: 0.6370 0.3766 0.4418
Ni: 0.6420 0.6366 0.2842
Ni: 0.6420 0.8634 0.7842
Ni: 0.8850 0.6354 0.0346
Ni: 0.8850 0.8646 0.5346
As: 0.1241 0.0570 0.7951
As: 0.1241 0.4430 0.2951
As: 0.3682 0.6554 0.8819
As: 0.3682 0.8446 0.3819
As: 0.6318 0.1554 0.6181
As: 0.6318 0.3446 0.1181
As: 0.8759 0.5570 0.7049
As: 0.8759 0.9430 0.2049
O: 0.1166 0.0040 0.1323
O: 0.1167 0.0081 0.6345
O: 0.1167 0.4919 0.1345
O: 0.1166 0.4960 0.6323
O: 0.1305 0.2348 0.8051
O: 0.1305 0.2652 0.3051
O: 0.1573 0.7323 0.9671
O: 0.1573 0.7677 0.4671
O: 0.3691 0.0212 0.3820
O: 0.3691 0.4788 0.8820
O: 0.3731 0.5112 0.3777
O: 0.3731 0.9888 0.8777
O: 0.3870 0.7248 0.7293
O: 0.3870 0.7752 0.2293
O: 0.3945 0.2458 0.5462
O: 0.3945 0.2542 0.0462
O: 0.6055 0.7458 0.9538
O: 0.6055 0.7542 0.4538
O: 0.6130 0.2248 0.7707
O: 0.6130 0.2752 0.2707
O: 0.6269 0.0112 0.1223
O: 0.6269 0.4888 0.6223
O: 0.6309 0.5212 0.1180
O: 0.6309 0.9788 0.6180
O: 0.8427 0.2323 0.5329
O: 0.8427 0.2677 0.0329
O: 0.8695 0.7348 0.6949
O: 0.8695 0.7652 0.1949
O: 0.8834 0.5040 0.3677
O: 0.8833 0.5081 0.8655
O: 0.8833 0.9919 0.3655
O: 0.8834 0.9960 0.8677

***

# Ni3As4O16

A geometry-optimized Ni3As4O16 structure (PBE+U, the Materials Project).

## Properties
formation enthalpy at 0 K: -1.05 eV/atom
electronic total energy: -5.243 eV per atom
mass density: 3632 kg/m³

a b c (Å): 9.3866 5.0330 15.4361
angles (deg): 90.00 113.43 90.00
Positions (direct):
Ni: 0.0000 0.0000 0.0000
Ni: 0.0000 0.5000 0.5000
Ni: 0.3122 0.0014 0.6246
Ni: 0.3122 0.4986 0.1246
Ni: 0.6878 0.5014 0.8754
Ni: 0.6878 0.9986 0.3754
As: 0.0646 0.5081 0.9024
As: 0.0646 0.9919 0.4024
As: 0.4515 0.5199 0.3485
As: 0.4515 0.9801 0.8485
As: 0.5485 0.0199 0.1515
As: 0.5485 0.4801 0.6515
As: 0.9354 0.0081 0.5976
As: 0.9354 0.4919 0.0976
O: 0.0043 0.1784 0.8988
O: 0.0043 0.3216 0.3988
O: 0.0661 0.5740 0.7934
O: 0.0661 0.9260 0.2934
O: 0.0778 0.1989 0.5779
O: 0.0778 0.3011 0.0779
O: 0.2382 0.5922 0.9896
O: 0.2382 0.9078 0.4896
O: 0.2984 0.0573 0.7456
O: 0.2984 0.4427 0.2456
O: 0.3816 0.6269 0.6491
O: 0.3816 0.8731 0.1491
O: 0.4003 0.0712 0.9416
O: 0.4003 0.4288 0.4416
O: 0.4867 0.6413 0.8543
O: 0.4867 0.8587 0.3543
O: 0.5133 0.1413 0.6457
O: 0.5133 0.3587 0.1457
O: 0.5997 0.5712 0.5584
O: 0.5997 0.9288 0.0584
O: 0.6184 0.1269 0.8509
O: 0.6184 0.3731 0.3509
O: 0.7016 0.5573 0.7544
O: 0.7016 0.9427 0.2544
O: 0.7618 0.0922 0.5104
O: 0.7618 0.4078 0.0104
O: 0.9222 0.6989 0.9221
O: 0.9222 0.8011 0.4221
O: 0.9339 0.0740 0.7066
O: 0.9339 0.4260 0.2066
O: 0.9957 0.6784 0.6012
O: 0.9957 0.8216 0.1012

***

# Ni3As2O8

A geometry-optimized Ni3As2O8 structure (PBE+U, the Materials Project).

## Properties
formation enthalpy at 0 K: -1.53 eV/atom
offset from the most stable computed form: 6 meV per atom
electronic total energy: -5.614 eV per atom
mass density: 5305 kg/m³

a b c (Å): 6.4427 6.4427 8.2870
angles (deg): 90.00 90.00 124.29
Positions (direct):
Ni: 0.0000 0.0000 0.0000
Ni: 0.1162 0.3838 0.2500
Ni: 0.3838 0.1162 0.7500
Ni: 0.5000 0.5000 0.5000
Ni: 0.6162 0.8838 0.2500
Ni: 0.8838 0.6162 0.7500
As: 0.1235 0.8765 0.3850
As: 0.3765 0.6235 0.8850
As: 0.6235 0.3765 0.1150
As: 0.8765 0.1235 0.6150
O: 0.0007 0.9993 0.2504
O: 0.1165 0.3579 0.4991
O: 0.1421 0.3835 0.0009
O: 0.2474 0.7526 0.2668
O: 0.2526 0.7474 0.7668
O: 0.3579 0.1165 0.5009
O: 0.3835 0.1421 0.9991
O: 0.4993 0.5007 0.7504
O: 0.5007 0.4993 0.2496
O: 0.6165 0.8579 0.0009
O: 0.6421 0.8835 0.4991
O: 0.7474 0.2526 0.2332
O: 0.7526 0.2474 0.7332
O: 0.8579 0.6165 0.9991
O: 0.8835 0.6421 0.5009
O: 0.9993 0.0007 0.7496